Material: SrCeMg6
Method: DFT, PBE
State: relaxed

Lattice parameters (Å, degrees): 6.813 6.813 5.436 90.00 90.00 117.45
Fractional positions:
Sr 0.655 0.345 0.500
Mg 0.159 0.334 0.500
Mg 0.842 0.673 0.000
Mg 0.327 0.158 0.000
Mg 0.666 0.841 0.500
Mg 0.341 0.659 0.000
Mg 0.161 0.839 0.500
Ce 0.849 0.151 0.000

Output
As for the total energy: -16.26 eV for the cell shown. For the magnetic moment, the calculation gives 1.43 μB/f.u. For the formation energy, the calculation gives 120 meV/atom. The value obtained for the excess energy over the best structure of this formula in the dataset is 0.0 kJ per mole of atoms. Its symmetry is Amm2 (38).



Material: Ba4PrYCu6O14
Method: DFT, PBE
State: relaxed

Lattice parameters (Å, degrees): 12.494 12.494 3.950 90.00 90.00 143.90
Fractional positions:
Pr 0.500 0.500 0.500
Cu 0.322 0.172 0.000
Cu 0.500 0.000 0.000
Cu 0.828 0.678 0.000
Cu 0.172 0.322 0.000
Cu 0.000 0.500 0.000
Cu 0.678 0.828 0.000
Y 0.000 0.000 0.500
O 0.940 0.060 0.000
O 0.500 0.000 0.500
O 0.000 0.500 0.500
O 0.421 0.079 0.000
O 0.822 0.696 0.500
O 0.921 0.579 0.000
O 0.060 0.940 0.000
O 0.079 0.421 0.000
O 0.435 0.565 0.000
O 0.696 0.822 0.500
O 0.304 0.178 0.500
O 0.178 0.304 0.500
O 0.565 0.435 0.000
O 0.579 0.921 0.000
Ba 0.340 0.660 0.500
Ba 0.840 0.160 0.500
Ba 0.660 0.340 0.500
Ba 0.160 0.840 0.500

Output
As for the total energy: -159.60 eV for the cell shown. For the magnetic moment, the calculation gives 0.01 μB/f.u. For the formation energy, the calculation gives -2170 meV/atom. The value obtained for the excess energy over the best structure of this formula in the dataset is 0.0 kJ per mole of atoms. Its symmetry is Cmmm (65).



Material: Ba2Sc2O5
Method: DFT, PBE
State: relaxed

Lattice parameters (Å, degrees): 5.991 6.134 16.532 90.00 90.00 90.00
Fractional positions:
O 0.007 0.046 0.638
O 0.359 0.154 0.250
O 0.748 0.248 0.007
O 0.141 0.654 0.750
O 0.007 0.046 0.862
O 0.993 0.954 0.362
O 0.752 0.748 0.993
O 0.252 0.752 0.993
O 0.641 0.846 0.750
O 0.507 0.454 0.862
O 0.248 0.252 0.493
O 0.752 0.748 0.507
O 0.748 0.248 0.493
O 0.493 0.546 0.362
O 0.252 0.752 0.507
O 0.993 0.954 0.138
O 0.248 0.252 0.007
O 0.493 0.546 0.138
O 0.507 0.454 0.638
O 0.859 0.346 0.250
Sc 0.500 0.500 0.500
Sc 0.037 0.071 0.250
Sc 0.500 0.500 0.000
Sc 0.463 0.571 0.750
Sc 0.000 0.000 0.500
Sc 0.963 0.929 0.750
Sc 0.537 0.429 0.250
Sc 0.000 0.000 0.000
Ba 0.495 0.016 0.609
Ba 0.005 0.516 0.391
Ba 0.505 0.984 0.391
Ba 0.005 0.516 0.109
Ba 0.995 0.484 0.891
Ba 0.995 0.484 0.609
Ba 0.495 0.016 0.891
Ba 0.505 0.984 0.109

Output
As for the total energy: -277.25 eV for the cell shown. For the formation energy, the calculation gives -3500 meV/atom. Its symmetry is Pnma (62).